No. 1
# Rb2NaZn2H5C4O14 | the Materials Project | GGA-PBE | relaxed
data_Rb2NaZn2H5C4O14
_symmetry_space_group_name_H-M 'P 1 21/c 1'
_symmetry_Int_Tables_number 14
_cell_length_a 5.247
_cell_length_b 11.581
_cell_length_c 11.885
_cell_angle_alpha 90.00
_cell_angle_beta 114.18
_cell_angle_gamma 90.00
loop_
_symmetry_equiv_pos_as_xyz
'x,y,z'
'-x,-y,-z'
'-x,y+1/2,-z+1/2'
'x,-y+1/2,z+1/2'
loop_
_atom_site_label
_atom_site_fract_x
_atom_site_fract_y
_atom_site_fract_z
Rb1 0.043 0.166 0.076
Na1 0.000 0.000 0.500
Zn1 0.332 0.601 0.798
H1 0.060 0.701 0.181
H2 0.379 0.672 0.226
H3 0.500 0.000 0.000
C1 0.288 0.072 0.819
C2 0.430 0.124 0.435
O1 0.056 0.064 0.832
O2 0.210 0.162 0.444
O3 0.249 0.719 0.250
O4 0.298 0.110 0.719
O5 0.333 0.615 0.967
O6 0.427 0.090 0.329
O7 0.478 0.541 0.590
# DFT formation energy: -1.7973 eV per atom

No. 2
# NaNdGa4Se8 | the Materials Project | GGA-PBE | relaxed
data_NaNdGa4Se8
_symmetry_space_group_name_H-M 'F d d d'
_symmetry_Int_Tables_number 70
_cell_length_a 12.870
_cell_length_b 21.389
_cell_length_c 21.445
_cell_angle_alpha 90.00
_cell_angle_beta 90.00
_cell_angle_gamma 90.00
loop_
_symmetry_equiv_pos_as_xyz
'x,y,z'
'-x,-y,-z'
'-x+1/4,-y+1/4,z'
'x+1/4,y+1/4,-z'
'x,-y+1/4,-z+1/4'
'-x,y+1/4,z+1/4'
'-x+1/4,y,-z+1/4'
'x+1/4,-y,z+1/4'
'x,y+1/2,z+1/2'
'-x,-y+1/2,-z+1/2'
'-x+1/4,-y+3/4,z+1/2'
'x+1/4,y+3/4,-z+1/2'
'x,-y+3/4,-z+3/4'
'-x,y+3/4,z+3/4'
'-x+1/4,y+1/2,-z+3/4'
'x+1/4,-y+1/2,z+3/4'
'x+1/2,y,z+1/2'
'-x+1/2,-y,-z+1/2'
'-x+3/4,-y+1/4,z+1/2'
'x+3/4,y+1/4,-z+1/2'
'x+1/2,-y+1/4,-z+3/4'
'-x+1/2,y+1/4,z+3/4'
'-x+3/4,y,-z+3/4'
'x+3/4,-y,z+3/4'
'x+1/2,y+1/2,z'
'-x+1/2,-y+1/2,-z'
'-x+3/4,-y+3/4,z'
'x+3/4,y+3/4,-z'
'x+1/2,-y+3/4,-z+1/4'
'-x+1/2,y+3/4,z+1/4'
'-x+3/4,y+1/2,-z+1/4'
'x+3/4,-y+1/2,z+1/4'
loop_
_atom_site_label
_atom_site_fract_x
_atom_site_fract_y
_atom_site_fract_z
Na1 0.125 0.125 0.372
Nd1 0.125 0.125 0.125
Nd2 0.125 0.125 0.625
Ga1 0.084 0.305 0.251
Ga2 0.124 0.260 0.753
Se1 0.003 0.093 0.247
Se2 0.004 0.002 0.087
Se3 0.006 0.003 0.587
Se4 0.017 0.084 0.750
# DFT formation energy: -1.1820 eV per atom

No. 3
# K2NaGaAs2 | the Materials Project | GGA-PBE | relaxed
data_K2NaGaAs2
_symmetry_space_group_name_H-M 'I b a m'
_symmetry_Int_Tables_number 72
_symmetry_space_group_name_Hall '-I 2 2c'
_cell_length_a 6.801
_cell_length_b 15.068
_cell_length_c 6.655
_cell_angle_alpha 90.00
_cell_angle_beta 90.00
_cell_angle_gamma 90.00
loop_
_atom_site_label
_atom_site_fract_x
_atom_site_fract_y
_atom_site_fract_z
K1 0.245 0.173 0.000
Na1 0.000 0.000 0.250
Ga1 0.000 0.500 0.250
As1 0.202 0.405 0.000
# DFT formation energy: -0.5003 eV per atom

No. 4
# K3IrN6O12 | the Materials Project | GGA-PBE | relaxed
data_K3IrN6O12
_symmetry_space_group_name_H-M 'F m -3 m'
_symmetry_Int_Tables_number 225
_symmetry_space_group_name_Hall '-F 4 2 3'
_cell_length_a 10.431
_cell_length_b 10.431
_cell_length_c 10.431
_cell_angle_alpha 90.00
_cell_angle_beta 90.00
_cell_angle_gamma 90.00
loop_
_atom_site_label
_atom_site_fract_x
_atom_site_fract_y
_atom_site_fract_z
K1 0.000 0.000 0.000
K2 0.250 0.250 0.250
Ir1 0.000 0.000 0.500
N1 0.000 0.000 0.306
O1 0.000 0.205 0.295
# DFT formation energy: 0.6825 eV per atom

No. 5
# Cs3NiCl5 | the Materials Project | GGA-PBE | relaxed
data_Cs3NiCl5
_symmetry_space_group_name_H-M 'I 4/m c m'
_symmetry_Int_Tables_number 140
_symmetry_space_group_name_Hall '-I 4 2c'
_cell_length_a 9.268
_cell_length_b 9.268
_cell_length_c 15.088
_cell_angle_alpha 90.00
_cell_angle_beta 90.00
_cell_angle_gamma 90.00
loop_
_atom_site_label
_atom_site_fract_x
_atom_site_fract_y
_atom_site_fract_z
Cs1 0.000 0.000 0.250
Cs2 0.168 0.332 0.000
Ni1 0.000 0.500 0.250
Cl1 0.000 0.000 0.000
Cl2 0.132 0.368 0.345
# DFT formation energy: -1.8571 eV per atom

No. 6
# LiB2O3 | the Materials Project | GGA-PBE | relaxed
data_LiB2O3
_symmetry_space_group_name_H-M 'I 41 c d'
_symmetry_Int_Tables_number 110
_symmetry_space_group_name_Hall 'I 4bw -2c'
_cell_length_a 13.300
_cell_length_b 13.300
_cell_length_c 12.193
_cell_angle_alpha 90.00
_cell_angle_beta 90.00
_cell_angle_gamma 90.00
loop_
_atom_site_label
_atom_site_fract_x
_atom_site_fract_y
_atom_site_fract_z
Li1 0.234 0.245 0.000
B1 0.074 0.360 0.448
B2 0.084 0.315 0.841
O1 0.019 0.365 0.918
O2 0.145 0.164 0.225
O3 0.163 0.264 0.867
# Energy above the lowest structure with this stoichiometry: 133 meV per atom
# DFT formation energy: -1.9565 eV per atom

No. 7
# Sr | the Materials Project | GGA-PBE | relaxed
data_Sr
_symmetry_space_group_name_H-M 'P 63/m m c'
_symmetry_Int_Tables_number 194
_symmetry_space_group_name_Hall '-P 6c 2c'
_cell_length_a 4.2643
_cell_length_b 4.2643
_cell_length_c 13.9143
_cell_angle_alpha 90.00
_cell_angle_beta 90.00
_cell_angle_gamma 120.00
loop_
_atom_site_label
_atom_site_fract_x
_atom_site_fract_y
_atom_site_fract_z
Sr1 0.0000 0.0000 0.0000
Sr2 0.3333 0.6667 0.2500
# Energy above the lowest structure with this stoichiometry: 8 meV per atom
# DFT formation energy: 0.0079 eV per atom

No. 8
# Cs2AgBr3 | the Materials Project | GGA-PBE | relaxed
data_Cs2AgBr3
_symmetry_space_group_name_H-M 'P n m a'
_symmetry_Int_Tables_number 62
_cell_length_a 14.090
_cell_length_b 4.820
_cell_length_c 14.657
_cell_angle_alpha 90.00
_cell_angle_beta 90.00
_cell_angle_gamma 90.00
loop_
_symmetry_equiv_pos_as_xyz
'x,y,z'
'-x,-y,-z'
'-x+1/2,-y,z+1/2'
'x+1/2,y,-z+1/2'
'x+1/2,-y+1/2,-z+1/2'
'-x+1/2,y+1/2,z+1/2'
'-x,y+1/2,-z'
'x,-y+1/2,z'
loop_
_atom_site_label
_atom_site_fract_x
_atom_site_fract_y
_atom_site_fract_z
Cs1 0.011 0.250 0.174
Cs2 0.172 0.250 0.519
Ag1 0.245 0.750 0.304
Br1 0.060 0.750 0.360
Br2 0.138 0.250 0.951
Br3 0.225 0.750 0.712
# DFT formation energy: -1.6048 eV per atom

No. 9
# ZnH3CNO3 | the Materials Project | GGA-PBE | relaxed
data_ZnH3CNO3
_symmetry_space_group_name_H-M 'P n a 21'
_symmetry_Int_Tables_number 33
_cell_length_a 9.291
_cell_length_b 7.728
_cell_length_c 5.586
_cell_angle_alpha 90.00
_cell_angle_beta 90.00
_cell_angle_gamma 90.00
loop_
_symmetry_equiv_pos_as_xyz
'x,y,z'
'-x,-y,z+1/2'
'-x+1/2,y+1/2,z+1/2'
'x+1/2,-y+1/2,z'
loop_
_atom_site_label
_atom_site_fract_x
_atom_site_fract_y
_atom_site_fract_z
Zn1 0.145 0.166 0.000
H1 0.038 0.648 0.275
H2 0.079 0.274 0.577
H3 0.122 0.444 0.741
C1 0.124 0.858 0.735
N1 0.069 0.328 0.744
O1 0.012 0.101 0.260
O2 0.158 0.721 0.614
O3 0.221 0.953 0.834
# Energy above the lowest structure with this stoichiometry: 0 meV per atom
# DFT formation energy: -1.2246 eV per atom

No. 10
# Dy2Sb2O7 | the Materials Project | GGA-PBE | relaxed
data_Dy2Sb2O7
_symmetry_space_group_name_H-M 'P 31 2 1'
_symmetry_Int_Tables_number 152
_cell_length_a 7.5342
_cell_length_b 7.5342
_cell_length_c 18.5454
_cell_angle_alpha 90.00
_cell_angle_beta 90.00
_cell_angle_gamma 120.00
loop_
_symmetry_equiv_pos_as_xyz
'x,y,z'
'-y,x-y,z+1/3'
'-x+y,-x,z+2/3'
'y,x,-z'
'x-y,-y,-z+2/3'
'-x,-x+y,-z+1/3'
loop_
_atom_site_label
_atom_site_fract_x
_atom_site_fract_y
_atom_site_fract_z
Dy1 0.0000 0.8231 0.1667
Dy2 0.0000 0.8340 0.6667
Dy3 0.1832 0.6836 0.5114
Sb1 0.0000 0.2987 0.1667
Sb2 0.0000 0.3256 0.6667
Sb3 0.1670 0.6692 0.0010
O1 0.0059 0.3348 0.7891
O2 0.0094 0.8105 0.0285
O3 0.0164 0.8510 0.7849
O4 0.0508 0.4378 0.3055
O5 0.1063 0.6561 0.8941
O6 0.2023 0.6809 0.6401
O7 0.2317 0.6974 0.1060
# Energy above the lowest structure with this stoichiometry: 0 meV per atom
# DFT formation energy: -2.8243 eV per atom

No. 11
# Co4CuNiS8 | the Materials Project | GGA-PBE | relaxed
data_Co4CuNiS8
_symmetry_space_group_name_H-M 'F -4 3 m'
_symmetry_Int_Tables_number 216
_symmetry_space_group_name_Hall 'F -4 2 3'
_cell_length_a 9.396
_cell_length_b 9.396
_cell_length_c 9.396
_cell_angle_alpha 90.00
_cell_angle_beta 90.00
_cell_angle_gamma 90.00
loop_
_atom_site_label
_atom_site_fract_x
_atom_site_fract_y
_atom_site_fract_z
Co1 0.125 0.125 0.125
Cu1 0.000 0.000 0.500
Ni1 0.250 0.250 0.750
S1 0.115 0.115 0.885
S2 0.138 0.138 0.362
# DFT formation energy: -0.7243 eV per atom